Compound: UCoCuGe2
Source: Materials Project
Functional: PBE
Structure: relaxed

POSCAR file:
```
UCoCuGe2
1.0
-2.017 2.017 4.923
2.017 -2.017 4.923
2.017 2.017 -4.923
U Co Cu Ge
1 1 1 2
direct
0.000 0.000 0.000
0.250 0.750 0.500
0.750 0.250 0.500
0.377 0.377 0.000
0.623 0.623 0.000
```

Theoretical density in Mg/m³: 10.5
Symmetry: No. 119
Energy of formation from the pure elements in meV/atom: -169



Compound: CaMn2Te3
Source: Materials Project
Functional: PBE
Structure: relaxed

POSCAR file:
```
CaMn2Te3
1.0
4.254 0.000 0.000
-2.127 3.684 0.000
0.000 0.000 10.451
Ca Mn Te
1 2 3
direct
0.000 0.000 0.000
0.333 0.667 0.660
0.667 0.333 0.340
0.000 0.000 0.500
0.333 0.667 0.189
0.667 0.333 0.811
```

Theoretical density in Mg/m³: 5.4
Symmetry: No. 164
Energy of formation from the pure elements in meV/atom: -749



Compound: NaNb2Zn2P3S3O24
Source: Materials Project
Functional: PBE
Structure: relaxed

POSCAR file:
```
NaNb2Zn2P3S3O24
1.0
8.769 0.000 0.000
4.375 7.605 0.000
0.031 0.065 22.641
Na Nb Zn P S O
3 6 6 9 9 72
direct
0.000 0.000 0.000
0.014 0.985 0.495
0.671 0.669 0.659
0.330 0.326 0.177
0.330 0.334 0.471
0.338 0.320 0.684
0.668 0.661 0.016
0.670 0.659 0.304
0.996 0.000 0.850
0.008 0.983 0.639
0.014 0.976 0.343
0.347 0.310 0.971
0.664 0.668 0.810
0.664 0.670 0.515
0.994 0.993 0.141
0.007 0.707 0.243
0.043 0.619 0.577
0.049 0.319 0.073
0.336 0.035 0.576
0.380 0.667 0.412
0.384 0.951 0.908
0.631 0.040 0.074
0.661 0.381 0.908
0.722 0.984 0.740
0.291 0.995 0.243
0.296 0.705 0.741
0.333 0.618 0.074
0.627 0.327 0.576
0.674 0.949 0.411
0.715 0.280 0.243
0.957 0.367 0.411
0.964 0.654 0.909
0.998 0.284 0.741
0.025 0.163 0.085
0.033 0.171 0.796
0.038 0.794 0.578
0.044 0.773 0.299
0.136 0.355 0.416
0.138 0.353 0.131
0.138 0.511 0.919
0.146 0.498 0.631
0.160 0.300 0.020
0.166 0.031 0.581
0.166 0.297 0.736
0.166 0.518 0.521
0.167 0.516 0.230
0.184 0.785 0.795
0.186 0.794 0.084
0.188 0.030 0.296
0.196 0.960 0.900
0.197 0.822 0.403
0.218 0.811 0.689
0.223 0.958 0.190
0.308 0.527 0.734
0.308 0.538 0.022
0.318 0.156 0.521
0.321 0.149 0.234
0.348 0.133 0.918
0.358 0.135 0.632
0.365 0.504 0.129
0.369 0.492 0.419
0.469 0.688 0.466
0.472 0.825 0.964
0.474 0.675 0.748
0.477 0.838 0.253
0.490 0.868 0.853
0.500 0.635 0.355
0.501 0.627 0.070
0.505 0.860 0.574
0.509 0.125 0.417
0.509 0.130 0.131
0.512 0.350 0.920
0.515 0.349 0.630
0.533 0.310 0.234
0.535 0.160 0.733
0.537 0.305 0.522
0.547 0.152 0.021
0.638 0.487 0.572
0.641 0.855 0.067
0.644 0.865 0.357
0.650 0.479 0.852
0.691 0.465 0.254
0.691 0.831 0.749
0.705 0.461 0.964
0.705 0.841 0.463
0.788 0.177 0.297
0.798 0.166 0.580
0.809 0.019 0.797
0.815 0.009 0.083
0.822 0.215 0.191
0.823 0.978 0.402
0.829 0.965 0.686
0.840 0.188 0.901
0.844 0.676 0.256
0.846 0.695 0.962
0.851 0.461 0.750
0.853 0.449 0.463
0.866 0.494 0.067
0.870 0.622 0.571
0.877 0.482 0.356
0.885 0.633 0.856
0.966 0.816 0.188
0.975 0.825 0.903
0.977 0.203 0.689
0.983 0.192 0.401
```

Theoretical density in Mg/m³: 3.0
Symmetry: No. 1
Energy of formation from the pure elements in meV/atom: -2356



Compound: Sr4P2O
Source: Materials Project
Functional: PBE
Structure: relaxed

POSCAR file:
```
Sr4P2O
1.0
-2.418 2.418 8.024
2.418 -2.418 8.024
2.418 2.418 -8.024
Sr P O
4 2 1
direct
0.000 0.500 0.500
0.176 0.176 0.000
0.500 0.000 0.500
0.824 0.824 0.000
0.365 0.365 0.000
0.635 0.635 0.000
0.000 0.000 0.000
```

Theoretical density in Mg/m³: 3.8
Symmetry: No. 139
Energy of formation from the pure elements in meV/atom: -1636



Compound: CaHf8N8O4
Source: Materials Project
Functional: PBE
Structure: relaxed

POSCAR file:
```
CaHf8N8O4
1.0
5.464 0.000 0.000
2.709 4.834 0.000
2.711 -1.340 10.255
Ca Hf N O
1 8 8 4
direct
0.000 0.000 0.000
0.197 0.890 0.740
0.198 0.385 0.273
0.372 0.328 0.960
0.386 0.794 0.457
0.649 0.676 0.038
0.658 0.191 0.542
0.854 0.050 0.260
0.893 0.523 0.721
0.053 0.625 0.875
0.069 0.110 0.381
0.259 0.656 0.119
0.270 0.168 0.619
0.463 0.400 0.381
0.556 0.053 0.129
0.578 0.564 0.619
0.758 0.308 0.865
0.441 0.932 0.880
0.782 0.768 0.369
0.933 0.364 0.129
0.970 0.844 0.617
```

Theoretical density in Mg/m³: 10.1
Symmetry: No. 1
Energy relative to the lowest polymorph listed for this composition in meV/atom: 120
Energy of formation from the pure elements in meV/atom: -2065



Compound: Ce2Fe12Co5
Source: Materials Project
Functional: PBE
Structure: relaxed

POSCAR file:
```
Ce2Fe12Co5
1.0
4.211 2.431 4.181
-4.211 2.431 4.181
0.000 -4.863 4.181
Ce Fe Co
2 12 5
direct
0.155 0.155 0.155
0.845 0.845 0.845
0.159 0.159 0.652
0.159 0.652 0.159
0.210 0.500 0.790
0.210 0.790 0.500
0.348 0.841 0.841
0.500 0.210 0.790
0.500 0.790 0.210
0.652 0.159 0.159
0.790 0.210 0.500
0.790 0.500 0.210
0.841 0.348 0.841
0.841 0.841 0.348
0.000 0.500 0.500
0.407 0.407 0.407
0.500 0.000 0.500
0.500 0.500 0.000
0.593 0.593 0.593
```

Theoretical density in Mg/m³: 8.0
Symmetry: No. 166
Energy of formation from the pure elements in meV/atom: -23



Compound: CaTi4S8
Source: Materials Project
Functional: PBE
Structure: relaxed

POSCAR file:
```
CaTi4S8
1.0
3.434 1.983 6.799
-3.434 1.983 6.799
0.000 -3.965 6.799
Ca Ti S
1 4 8
direct
0.000 0.000 0.000
0.000 0.000 0.500
0.000 0.500 0.000
0.500 0.000 0.000
0.500 0.500 0.500
0.236 0.236 0.236
0.242 0.736 0.736
0.264 0.264 0.758
0.264 0.758 0.264
0.736 0.242 0.736
0.736 0.736 0.242
0.758 0.264 0.264
0.764 0.764 0.764
```

Theoretical density in Mg/m³: 2.9
Symmetry: No. 166
Energy relative to the lowest polymorph listed for this composition in meV/atom: 0
Energy of formation from the pure elements in meV/atom: -1791



Compound: LiSnP4O12
Source: Materials Project
Functional: PBE
Structure: relaxed

POSCAR file:
```
LiSnP4O12
1.0
7.183 0.000 0.000
0.000 13.095 0.000
-7.012 0.000 9.657
Li Sn P O
4 4 16 48
direct
0.070 0.218 0.058
0.070 0.282 0.558
0.930 0.718 0.442
0.930 0.782 0.942
0.469 0.218 0.979
0.469 0.282 0.479
0.531 0.718 0.521
0.531 0.782 0.021
0.004 0.603 0.261
0.004 0.897 0.761
0.115 0.616 0.733
0.115 0.884 0.233
0.336 0.629 0.192
0.336 0.871 0.692
0.423 0.092 0.700
0.423 0.408 0.200
0.577 0.592 0.800
0.577 0.908 0.300
0.664 0.129 0.308
0.664 0.371 0.808
0.885 0.116 0.767
0.885 0.384 0.267
0.996 0.103 0.239
0.996 0.397 0.739
0.076 0.513 0.788
0.076 0.987 0.288
0.090 0.626 0.167
0.090 0.874 0.667
0.094 0.149 0.907
0.094 0.351 0.407
0.193 0.610 0.414
0.193 0.890 0.914
0.205 0.168 0.288
0.205 0.332 0.788
0.214 0.691 0.849
0.214 0.809 0.349
0.302 0.582 0.707
0.302 0.918 0.207
0.308 0.713 0.098
0.308 0.787 0.598
0.328 0.166 0.582
0.328 0.334 0.082
0.345 0.521 0.131
0.345 0.979 0.631
0.357 0.109 0.797
0.357 0.391 0.297
0.473 0.134 0.154
0.473 0.366 0.654
0.527 0.634 0.346
0.527 0.866 0.846
0.643 0.609 0.703
0.643 0.891 0.203
0.655 0.021 0.369
0.655 0.479 0.869
0.672 0.666 0.918
0.672 0.834 0.418
0.692 0.213 0.402
0.692 0.287 0.902
0.698 0.082 0.793
0.698 0.418 0.293
0.786 0.191 0.651
0.786 0.309 0.151
0.795 0.668 0.212
0.795 0.832 0.712
0.807 0.110 0.086
0.807 0.390 0.586
0.906 0.649 0.593
0.906 0.851 0.093
0.910 0.126 0.333
0.910 0.374 0.833
0.924 0.013 0.712
0.924 0.487 0.212
```

Theoretical density in Mg/m³: 3.2
Symmetry: No. 14
Energy relative to the lowest polymorph listed for this composition in meV/atom: 43
Energy of formation from the pure elements in meV/atom: -2459



Q: Among the records above, which one has the lowest theoretical density?
A: CaTi4S8